# 1
# Sm4Tm4MgO12

A relaxed structure of Sm4Tm4MgO12 (PBE, the Materials Project database).

Summary:
- Final energy: -7.839 eV/atom
- Calculated density: 7.854 Mg/m³
- ΔH_f (0 K): -3.577 eV per atom
- Volume: 15.04 A^3/atom

Cell: 5.843 6.088 9.020 Å, 84.48 82.16 85.60°
Fractional positions:
Sm 0.000 0.000 0.000
Sm 0.036 0.932 0.539
Sm 0.493 0.430 0.545
Sm 0.572 0.617 0.110
Tm 0.032 0.510 0.310
Tm 0.494 0.894 0.760
Tm 0.532 0.053 0.311
Tm 0.943 0.470 0.774
Mg 0.447 0.281 0.927
O 0.193 0.173 0.764
O 0.220 0.230 0.419
O 0.248 0.690 0.688
O 0.251 0.437 0.095
O 0.305 0.748 0.354
O 0.393 0.960 0.010
O 0.635 0.034 0.537
O 0.696 0.369 0.304
O 0.771 0.311 0.992
O 0.808 0.781 0.869
O 0.823 0.830 0.218
O 0.853 0.585 0.548

=====

# 2
# Sm4Tm4MgO12

A relaxed structure of Sm4Tm4MgO12 (PBE, the Materials Project database).

Summary:
- Final energy: -7.771 eV/atom
- Calculated density: 8.286 Mg/m³
- ΔH_f (0 K): -3.509 eV per atom
- Volume: 14.25 A^3/atom

Cell: 5.766 8.449 6.147 Å, 90.00 91.56 90.00°
Fractional positions:
Sm 0.000 0.000 0.000
Sm 0.085 0.500 0.868
Sm 0.534 0.500 0.380
Sm 0.626 0.000 0.597
Tm 0.063 0.250 0.431
Tm 0.063 0.750 0.431
Tm 0.569 0.273 0.929
Tm 0.569 0.727 0.929
Mg 0.493 0.000 0.177
O 0.215 0.000 0.364
O 0.268 0.329 0.136
O 0.268 0.671 0.136
O 0.365 0.000 0.879
O 0.372 0.329 0.631
O 0.372 0.671 0.631
O 0.718 0.500 0.012
O 0.732 0.172 0.249
O 0.732 0.828 0.249
O 0.890 0.205 0.747
O 0.890 0.795 0.747
O 0.925 0.500 0.492

=====

# 3
# Sm4Tm4MgO12

A relaxed structure of Sm4Tm4MgO12 (PBE, the Materials Project database).

Summary:
- Final energy: -7.816 eV/atom
- Calculated density: 8.086 Mg/m³
- ΔH_f (0 K): -3.554 eV per atom
- Volume: 14.60 A^3/atom

Cell: 5.758 6.215 8.586 Å, 86.50 89.11 89.83°
Fractional positions:
Sm 0.000 0.000 0.000
Sm 0.039 0.863 0.473
Sm 0.485 0.390 0.530
Sm 0.545 0.601 0.077
Tm 0.034 0.436 0.257
Tm 0.532 0.991 0.273
Tm 0.543 0.880 0.735
Tm 0.994 0.451 0.765
Mg 0.463 0.247 0.903
O 0.180 0.373 0.023
O 0.232 0.167 0.360
O 0.269 0.675 0.645
O 0.279 0.169 0.718
O 0.327 0.656 0.317
O 0.407 0.938 0.006
O 0.668 0.004 0.506
O 0.719 0.273 0.175
O 0.774 0.163 0.816
O 0.841 0.727 0.873
O 0.854 0.783 0.215
O 0.862 0.510 0.517

=====

# 4
# Mg2Sn2O5

A relaxed structure of Mg2Sn2O5 (PBE, the Materials Project database).

Summary:
- Final energy: -5.639 eV/atom
- Calculated density: 5.242 Mg/m³
- ΔH_f (0 K): -2.025 eV per atom
- Volume: 12.88 A^3/atom

Cell: 5.554 10.542 3.960 Å, 90.00 90.00 90.00°
Fractional positions:
Mg 0.140 0.107 0.000
Mg 0.360 0.607 0.000
Mg 0.640 0.393 0.000
Mg 0.860 0.893 0.000
Sn 0.158 0.388 0.500
Sn 0.342 0.888 0.500
Sn 0.658 0.112 0.500
Sn 0.842 0.612 0.500
O 0.000 0.000 0.500
O 0.206 0.702 0.500
O 0.232 0.901 0.000
O 0.268 0.401 0.000
O 0.294 0.202 0.500
O 0.500 0.500 0.500
O 0.706 0.798 0.500
O 0.732 0.599 0.000
O 0.768 0.099 0.000
O 0.794 0.298 0.500

=====

# 5
# MgSn4O8

A relaxed structure of MgSn4O8 (PBE, the Materials Project database).

Summary:
- Final energy: -5.827 eV/atom
- Calculated density: 5.440 Mg/m³
- ΔH_f (0 K): -1.848 eV per atom
- Volume: 14.72 A^3/atom

Cell: 7.732 7.732 10.335 Å, 129.86 129.86 24.22°
Fractional positions:
Mg 0.000 0.000 0.000
Sn 0.088 0.088 0.427
Sn 0.288 0.288 0.143
Sn 0.604 0.604 0.775
Sn 0.803 0.803 0.491
O 0.224 0.224 0.887
O 0.276 0.276 0.594
O 0.308 0.308 0.363
O 0.581 0.581 0.552
O 0.611 0.611 0.313
O 0.659 0.659 0.033
O 0.904 0.904 0.224
O 0.986 0.986 0.697

=====

# 6
# MgSn4O8

A relaxed structure of MgSn4O8 (PBE, the Materials Project database).

Summary:
- Final energy: -6.008 eV/atom
- Calculated density: 5.260 Mg/m³
- ΔH_f (0 K): -2.029 eV per atom
- Volume: 15.23 A^3/atom

Cell: 8.069 8.069 9.822 Å, 126.89 126.89 23.06°
Fractional positions:
Mg 0.000 0.000 0.000
Sn 0.208 0.208 0.009
Sn 0.458 0.458 0.641
Sn 0.680 0.680 0.369
Sn 0.975 0.975 0.308
O 0.058 0.058 0.704
O 0.146 0.146 0.472
O 0.165 0.165 0.217
O 0.445 0.445 0.404
O 0.481 0.481 0.869
O 0.505 0.505 0.185
O 0.822 0.822 0.080
O 0.843 0.843 0.533

=====

# 7
# MgSn3O7

A relaxed structure of MgSn3O7 (PBE, the Materials Project database).

Summary:
- Final energy: -6.031 eV/atom
- Calculated density: 5.916 Mg/m³
- ΔH_f (0 K): -2.080 eV per atom
- Volume: 12.57 A^3/atom

Cell: 10.235 10.319 5.235 Å, 90.00 90.00 90.00°
Fractional positions:
Mg 0.137 0.250 0.169
Mg 0.363 0.750 0.669
Mg 0.637 0.250 0.331
Mg 0.863 0.750 0.831
Sn 0.139 0.016 0.647
Sn 0.139 0.484 0.647
Sn 0.145 0.750 0.186
Sn 0.355 0.250 0.686
Sn 0.361 0.516 0.147
Sn 0.361 0.984 0.147
Sn 0.639 0.016 0.853
Sn 0.639 0.484 0.853
Sn 0.645 0.750 0.314
Sn 0.855 0.250 0.814
Sn 0.861 0.516 0.353
Sn 0.861 0.984 0.353
O 0.032 0.084 0.317
O 0.032 0.416 0.317
O 0.045 0.250 0.800
O 0.219 0.622 0.927
O 0.219 0.878 0.927
O 0.244 0.622 0.425
O 0.244 0.878 0.425
O 0.256 0.122 0.925
O 0.256 0.378 0.925
O 0.281 0.122 0.427
O 0.281 0.378 0.427
O 0.455 0.750 0.300
O 0.468 0.584 0.817
O 0.468 0.916 0.817
O 0.532 0.084 0.183
O 0.532 0.416 0.183
O 0.545 0.250 0.700
O 0.719 0.622 0.573
O 0.719 0.878 0.573
O 0.744 0.622 0.075
O 0.744 0.878 0.075
O 0.756 0.122 0.575
O 0.756 0.378 0.575
O 0.781 0.122 0.073
O 0.781 0.378 0.073
O 0.955 0.750 0.200
O 0.968 0.584 0.683
O 0.968 0.916 0.683

=====

# 8
# MgSn2O5

A relaxed structure of MgSn2O5 (PBE, the Materials Project database).

Summary:
- Final energy: -5.908 eV/atom
- Calculated density: 5.025 Mg/m³
- ΔH_f (0 K): -2.043 eV per atom
- Volume: 14.11 A^3/atom

Cell: 3.419 5.198 12.707 Å, 90.08 90.70 90.36°
Fractional positions:
Mg 0.000 0.000 0.000
Mg 0.491 0.209 0.503
Sn 0.001 0.706 0.358
Sn 0.493 0.504 0.144
Sn 0.497 0.503 0.858
Sn 0.989 0.706 0.644
O 0.028 0.064 0.398
O 0.477 0.145 0.105
O 0.489 0.515 0.682
O 0.498 0.694 0.001
O 0.499 0.515 0.320
O 0.514 0.143 0.896
O 0.970 0.065 0.607
O 0.990 0.516 0.501
O 0.996 0.695 0.182
O 0.997 0.694 0.820

=====

# 9
# MgSn2O5

A relaxed structure of MgSn2O5 (PBE, the Materials Project database).

Summary:
- Final energy: -5.906 eV/atom
- Calculated density: 5.025 Mg/m³
- ΔH_f (0 K): -2.041 eV per atom
- Volume: 14.12 A^3/atom

Cell: 3.419 5.198 13.119 Å, 90.00 104.41 90.00°
Fractional positions:
Mg 0.000 0.104 0.250
Mg 0.000 0.896 0.750
Sn 0.349 0.399 0.606
Sn 0.349 0.601 0.106
Sn 0.651 0.399 0.894
Sn 0.651 0.601 0.394
O 0.186 0.409 0.432
O 0.186 0.591 0.932
O 0.382 0.039 0.646
O 0.382 0.961 0.146
O 0.500 0.412 0.250
O 0.500 0.588 0.750
O 0.618 0.039 0.854
O 0.618 0.961 0.354
O 0.814 0.409 0.068
O 0.814 0.591 0.568

=====

# 10
# MgSn4O8

A relaxed structure of MgSn4O8 (PBE, the Materials Project database).

Summary:
- Final energy: -5.959 eV/atom
- Calculated density: 5.417 Mg/m³
- ΔH_f (0 K): -1.980 eV per atom
- Volume: 14.79 A^3/atom

Cell: 6.341 6.341 6.341 Å, 62.99 62.99 62.99°
Fractional positions:
Mg 0.000 0.000 0.000
Sn 0.000 0.000 0.500
Sn 0.000 0.500 0.000
Sn 0.500 0.000 0.000
Sn 0.500 0.500 0.500
O 0.197 0.764 0.764
O 0.236 0.236 0.236
O 0.236 0.236 0.803
O 0.236 0.803 0.236
O 0.764 0.197 0.764
O 0.764 0.764 0.197
O 0.764 0.764 0.764
O 0.803 0.236 0.236

=====

# 11
# MgSn2O5

A relaxed structure of MgSn2O5 (PBE, the Materials Project database).

Summary:
- Final energy: -6.188 eV/atom
- Calculated density: 5.236 Mg/m³
- ΔH_f (0 K): -2.323 eV per atom
- Volume: 13.55 A^3/atom

Cell: 5.607 5.607 10.354 Å, 90.00 90.00 138.24°
Fractional positions:
Mg 0.184 0.816 0.750
Mg 0.816 0.184 0.250
Sn 0.136 0.864 0.067
Sn 0.136 0.864 0.433
Sn 0.864 0.136 0.567
Sn 0.864 0.136 0.933
O 0.051 0.949 0.614
O 0.051 0.949 0.886
O 0.228 0.772 0.250
O 0.303 0.697 0.566
O 0.303 0.697 0.934
O 0.697 0.303 0.066
O 0.697 0.303 0.434
O 0.772 0.228 0.750
O 0.949 0.051 0.114
O 0.949 0.051 0.386

=====

# 12
# Mg2SnO4

A relaxed structure of Mg2SnO4 (PBE, the Materials Project database).

Summary:
- Final energy: -6.136 eV/atom
- Calculated density: 4.581 Mg/m³
- ΔH_f (0 K): -2.672 eV per atom
- Volume: 11.98 A^3/atom

Cell: 6.180 6.180 6.180 Å, 120.61 118.71 90.59°
Fractional positions:
Mg 0.000 0.000 0.500
Mg 0.000 0.500 0.000
Mg 0.388 0.138 0.250
Mg 0.612 0.862 0.750
Sn 0.000 0.500 0.500
Sn 0.500 0.500 0.000
O 0.218 0.736 0.482
O 0.245 0.264 0.982
O 0.246 0.262 0.516
O 0.246 0.731 0.984
O 0.754 0.269 0.016
O 0.754 0.738 0.484
O 0.755 0.736 0.018
O 0.782 0.264 0.518